Run w
Compound: LiTi2P3O12
Source: the Materials Project
Functional: PBE-GGA
Structure: optimized geometry

Geometry as POSCAR:
```
LiTi2P3O12
1.0
-3.000 8.072 0.118
0.612 4.913 -7.046
-7.086 2.014 -4.461
O Li Ti P
24 2 4 6
direct
0.916 0.057 0.269
0.376 0.193 0.002
0.943 0.731 0.084
0.416 0.769 0.557
0.193 0.002 0.376
0.557 0.416 0.769
0.443 0.584 0.231
0.624 0.807 0.998
0.498 0.307 0.124
0.002 0.376 0.193
0.584 0.231 0.443
0.731 0.084 0.943
0.693 0.876 0.502
0.876 0.502 0.693
0.057 0.269 0.916
0.998 0.624 0.807
0.231 0.443 0.584
0.769 0.557 0.416
0.084 0.943 0.731
0.807 0.998 0.624
0.269 0.916 0.057
0.307 0.124 0.498
0.502 0.693 0.876
0.124 0.498 0.307
0.500 0.500 0.500
0.000 0.000 0.000
0.141 0.141 0.141
0.359 0.359 0.359
0.859 0.859 0.859
0.641 0.641 0.641
0.250 0.959 0.541
0.959 0.541 0.250
0.041 0.459 0.750
0.541 0.250 0.959
0.750 0.041 0.459
0.459 0.750 0.041
```

Properties
As for the crystal system: trigonal. As for the total moment: 0.00 μB/f.u. As for the space group: R-3c, No. 167.

Run x
Compound: LiTi2P3O12
Source: the Materials Project
Functional: PBE-GGA
Structure: optimized geometry

Geometry as POSCAR:
```
LiTi2P3O12
1.0
-0.793 -5.251 6.786
8.530 -1.599 -0.222
1.930 9.191 7.468
P O Ti Li
12 48 8 4
direct
0.397 0.391 0.647
0.103 0.892 0.855
0.392 0.116 0.351
0.893 0.105 0.143
0.101 0.616 0.149
0.610 0.610 0.357
0.470 0.253 0.994
0.896 0.385 0.855
0.032 0.751 0.507
0.603 0.883 0.646
0.964 0.249 0.492
0.537 0.748 0.003
0.559 0.364 0.069
0.075 0.105 0.144
0.071 0.318 0.400
0.166 0.834 0.570
0.848 0.992 0.238
0.439 0.638 0.930
0.332 0.231 0.682
0.691 0.991 0.726
0.664 0.659 0.063
0.162 0.013 0.769
0.135 0.786 0.178
0.575 0.178 0.906
0.661 0.496 0.265
0.392 0.130 0.071
0.822 0.058 0.033
0.850 0.273 0.176
0.113 0.629 0.431
0.926 0.891 0.860
0.847 0.423 0.975
0.334 0.335 0.933
0.810 0.490 0.773
0.175 0.938 0.968
0.630 0.711 0.671
0.565 0.083 0.332
0.870 0.211 0.830
0.675 0.560 0.469
0.326 0.436 0.533
0.663 0.774 0.328
0.338 0.512 0.733
0.188 0.501 0.226
0.652 0.922 0.526
0.064 0.140 0.567
0.928 0.584 0.163
0.894 0.372 0.569
0.349 0.081 0.475
0.426 0.911 0.661
0.608 0.871 0.927
0.359 0.287 0.325
0.574 0.389 0.642
0.835 0.155 0.437
0.293 0.008 0.278
0.923 0.680 0.593
0.153 0.585 0.027
0.168 0.732 0.820
0.428 0.608 0.361
0.426 0.821 0.091
0.074 0.411 0.840
0.951 0.865 0.428
0.251 0.541 0.890
0.752 0.531 0.621
0.258 0.475 0.386
0.263 0.966 0.111
0.747 0.467 0.119
0.740 0.968 0.383
0.748 0.033 0.878
0.247 0.041 0.611
0.201 0.222 0.820
0.080 0.298 0.237
0.070 0.918 0.298
0.299 0.722 0.681
```

Properties
As for the crystal system: triclinic. As for the total moment: 0.00 μB/f.u. As for the space group: P1, No. 1.

The structure shown above that is least stable: run x.